# 1
Here is a relaxed Sr3SiO5 crystal from the Materials Project. Energies are from meta-GGA r2SCAN. Values from VASP.

Quantum ESPRESSO input file:
```
&SYSTEM
  ibrav = 0, nat = 36, ntyp = 3
/
ATOMIC_SPECIES
Sr 87.62 Sr.upf
Si 28.09 Si.upf
O 16.00 O.upf
CELL_PARAMETERS angstrom
6.958 0.000 0.000
0.000 6.958 0.000
0.000 0.000 10.801
ATOMIC_POSITIONS crystal
Sr 0.062 0.562 0.250
Sr 0.062 0.938 0.750
Sr 0.250 0.250 0.009
Sr 0.250 0.250 0.509
Sr 0.438 0.562 0.750
Sr 0.438 0.938 0.250
Sr 0.562 0.062 0.750
Sr 0.562 0.438 0.250
Sr 0.750 0.750 0.491
Sr 0.750 0.750 0.991
Sr 0.938 0.062 0.250
Sr 0.938 0.438 0.750
Si 0.250 0.750 0.000
Si 0.250 0.750 0.500
Si 0.750 0.250 0.000
Si 0.750 0.250 0.500
O 0.092 0.651 0.908
O 0.092 0.849 0.408
O 0.151 0.592 0.592
O 0.151 0.908 0.092
O 0.250 0.250 0.279
O 0.250 0.250 0.779
O 0.349 0.592 0.092
O 0.349 0.908 0.592
O 0.408 0.651 0.408
O 0.408 0.849 0.908
O 0.592 0.151 0.092
O 0.592 0.349 0.592
O 0.651 0.092 0.408
O 0.651 0.408 0.908
O 0.750 0.750 0.221
O 0.750 0.750 0.721
O 0.849 0.092 0.908
O 0.849 0.408 0.408
O 0.908 0.151 0.592
O 0.908 0.349 0.092
```

Output
* total magnetic moment: 0.0000 μB per atom
* crystal system: tetragonal
* final energy: -12.560 eV/atom
* SG: P4/ncc, No. 130

---

# 2
Here is a relaxed Rb7NaSi8 crystal from the Materials Project. Energies are from meta-GGA r2SCAN. Values from VASP.

Quantum ESPRESSO input file:
```
&SYSTEM
  ibrav = 0, nat = 64, ntyp = 3
/
ATOMIC_SPECIES
Rb 85.47 Rb.upf
Na 22.99 Na.upf
Si 28.09 Si.upf
CELL_PARAMETERS angstrom
13.068 0.000 0.000
0.000 13.068 0.000
0.000 0.000 13.068
ATOMIC_POSITIONS crystal
Rb 0.000 0.000 0.000
Rb 0.000 0.500 0.500
Rb 0.043 0.226 0.314
Rb 0.043 0.274 0.814
Rb 0.186 0.543 0.226
Rb 0.186 0.957 0.726
Rb 0.226 0.186 0.543
Rb 0.226 0.314 0.043
Rb 0.274 0.686 0.543
Rb 0.274 0.814 0.043
Rb 0.314 0.043 0.226
Rb 0.314 0.457 0.726
Rb 0.457 0.726 0.314
Rb 0.457 0.774 0.814
Rb 0.500 0.000 0.500
Rb 0.500 0.500 0.000
Rb 0.543 0.226 0.186
Rb 0.543 0.274 0.686
Rb 0.686 0.543 0.274
Rb 0.686 0.957 0.774
Rb 0.726 0.186 0.957
Rb 0.726 0.314 0.457
Rb 0.774 0.686 0.957
Rb 0.774 0.814 0.457
Rb 0.814 0.043 0.274
Rb 0.814 0.457 0.774
Rb 0.957 0.726 0.186
Rb 0.957 0.774 0.686
Na 0.000 0.000 0.500
Na 0.000 0.500 0.000
Na 0.500 0.000 0.000
Na 0.500 0.500 0.500
Si 0.062 0.702 0.922
Si 0.062 0.798 0.422
Si 0.078 0.562 0.798
Si 0.078 0.938 0.298
Si 0.199 0.699 0.801
Si 0.199 0.801 0.301
Si 0.202 0.578 0.938
Si 0.202 0.922 0.438
Si 0.298 0.078 0.938
Si 0.298 0.422 0.438
Si 0.301 0.199 0.801
Si 0.301 0.301 0.301
Si 0.422 0.062 0.798
Si 0.422 0.438 0.298
Si 0.438 0.202 0.922
Si 0.438 0.298 0.422
Si 0.562 0.702 0.578
Si 0.562 0.798 0.078
Si 0.578 0.562 0.702
Si 0.578 0.938 0.202
Si 0.699 0.699 0.699
Si 0.699 0.801 0.199
Si 0.702 0.578 0.562
Si 0.702 0.922 0.062
Si 0.798 0.078 0.562
Si 0.798 0.422 0.062
Si 0.801 0.199 0.699
Si 0.801 0.301 0.199
Si 0.922 0.062 0.702
Si 0.922 0.438 0.202
Si 0.938 0.202 0.578
Si 0.938 0.298 0.078
```

Output
* total magnetic moment: 0.0000 μB per atom
* crystal system: cubic
* final energy: -10.831 eV/atom
* SG: Pa-3, No. 205

---

- Among the records above, which one has the highest final energy?
  Rb7NaSi8

---

- Look up the final energy of the second one.
  -10.831 eV/atom